Density functional theory data (GGA+U) for a geometry-optimized Na3Co4O8 structure.

## Properties
Its energy above the most stable polymorph in this dataset is 0.177 eV per atom. For the energy, the calculation gives -5.331 eV per atom. The space-group type is No. 12. The formation energy from the elements comes out at -1.336 eV per atom.

Cell lengths 6.3832, 6.3832, 5.0459 Å; angles 74.85, 74.85, 55.07 degrees
Fractional coordinates of all 15 atoms:
1 O 0.6551 0.6551 0.2454
2 O 0.8393 0.8393 0.7765
3 O 0.0853 0.6047 0.2699
4 O 0.1607 0.1607 0.2235
5 O 0.6047 0.0853 0.2699
6 O 0.3953 0.9147 0.7301
7 O 0.9147 0.3953 0.7301
8 O 0.3449 0.3449 0.7546
9 Co 0.5000 0.0000 0.0000
10 Co 0.7471 0.7471 0.5050
11 Co 0.0000 0.5000 0.0000
12 Co 0.2529 0.2529 0.4950
13 Na 0.0000 0.0000 0.0000
14 Na 0.2654 0.7346 0.5000
15 Na 0.7346 0.2654 0.5000

---

Density functional theory data (GGA+U) for a geometry-optimized ZnCoF6 structure.

## Properties
For the energy, the calculation gives -4.035 eV per atom. The space-group type is No. 148. The formation energy from the elements comes out at -2.105 eV per atom.

Cell lengths 5.4306, 5.4306, 5.4306 Å; angles 58.31, 58.31, 58.31 degrees
Fractional coordinates of all 8 atoms:
1 F 0.8508 0.2377 0.6722
2 F 0.3278 0.1492 0.7623
3 F 0.1492 0.7623 0.3278
4 F 0.6722 0.8508 0.2377
5 F 0.7623 0.3278 0.1492
6 F 0.2377 0.6722 0.8508
7 Co 0.0000 0.0000 0.0000
8 Zn 0.5000 0.5000 0.5000

---

Density functional theory data (GGA+U) for a geometry-optimized KNa2CrF6 structure.

## Properties
For the energy, the calculation gives -4.919 eV per atom. The space-group type is No. 225. The formation energy from the elements comes out at -2.907 eV per atom.

Cell lengths 6.1914, 6.1914, 6.1914 Å; angles 60.00, 60.00, 60.00 degrees
Fractional coordinates of all 10 atoms:
1 F 0.7805 0.2195 0.2195
2 F 0.7805 0.2195 0.7805
3 F 0.2195 0.7805 0.2195
4 F 0.2195 0.2195 0.7805
5 F 0.7805 0.7805 0.2195
6 F 0.2195 0.7805 0.7805
7 Cr 0.0000 0.0000 0.0000
8 Na 0.7500 0.7500 0.7500
9 Na 0.2500 0.2500 0.2500
10 K 0.5000 0.5000 0.5000

---

Density functional theory data (GGA+U) for a geometry-optimized Li2CrFeO4 structure.

## Properties
Its energy above the most stable polymorph in this dataset is 0.011 eV per atom. For the energy, the calculation gives -6.507 eV per atom. The space-group type is No. 5. The formation energy from the elements comes out at -2.166 eV per atom.

Cell lengths 6.6467, 6.6467, 5.1340 Å; angles 82.73, 82.73, 83.96 degrees
Fractional coordinates of all 24 atoms:
1 O 0.9743 0.8006 0.8707
2 O 0.6952 0.5313 0.6304
3 O 0.8033 0.9666 0.3724
4 O 0.5249 0.6971 0.1283
5 O 0.3605 0.8612 0.6360
6 O 0.3029 0.4751 0.8717
7 O 0.6342 0.1377 0.8722
8 O 0.0334 0.1967 0.6276
9 O 0.4687 0.3048 0.3696
10 O 0.8623 0.3658 0.1278
11 O 0.1388 0.6395 0.3640
12 O 0.1994 0.0257 0.1293
13 Li 0.1678 0.3356 0.2496
14 Li 0.3343 0.1648 0.7497
15 Li 0.8352 0.6657 0.2503
16 Li 0.9995 0.4998 0.7552
17 Li 0.6644 0.8322 0.7504
18 Li 0.5002 0.0005 0.2448
19 Cr 0.0858 0.9142 0.5000
20 Cr 0.4149 0.5851 0.5000
21 Cr 0.5805 0.4195 0.0000
22 Fe 0.7503 0.2497 0.5000
23 Fe 0.9194 0.0806 0.0000
24 Fe 0.2501 0.7499 0.0000

---

Density functional theory data (GGA+U) for a geometry-optimized LiVI2O8 structure.

## Properties
For the energy, the calculation gives -5.334 eV per atom. The space-group type is No. 14. The formation energy from the elements comes out at -1.465 eV per atom.

Cell lengths 5.3163, 10.0919, 13.8123 Å; angles 61.97, 90.00, 90.00 degrees
Fractional coordinates of all 48 atoms:
1 O 0.9128 0.3931 0.9218
2 O 0.1199 0.3576 0.5187
3 O 0.9229 0.8098 0.1604
4 O 0.0197 0.8475 0.5313
5 O 0.6291 0.5738 0.1972
6 O 0.0716 0.9253 0.2932
7 O 0.4128 0.6069 0.5782
8 O 0.6199 0.6424 0.9813
9 O 0.3801 0.3576 0.0187
10 O 0.0771 0.1902 0.8396
11 O 0.4433 0.1149 0.5644
12 O 0.3709 0.4262 0.8028
13 O 0.8801 0.6424 0.4813
14 O 0.1291 0.4262 0.3028
15 O 0.9433 0.8851 0.9356
16 O 0.5567 0.8851 0.4356
17 O 0.5806 0.3055 0.6766
18 O 0.9194 0.3055 0.1766
19 O 0.5716 0.0747 0.2068
20 O 0.4803 0.8475 0.0313
21 O 0.4194 0.6945 0.3234
22 O 0.0872 0.6069 0.0782
23 O 0.8709 0.5738 0.6972
24 O 0.4284 0.9253 0.7932
25 O 0.9803 0.1525 0.4687
26 O 0.5197 0.1525 0.9687
27 O 0.5872 0.3931 0.4218
28 O 0.9284 0.0747 0.7068
29 O 0.5771 0.8098 0.6604
30 O 0.0806 0.6945 0.8234
31 O 0.0567 0.1149 0.0644
32 O 0.4229 0.1902 0.3396
33 I 0.8175 0.0752 0.8307
34 I 0.8050 0.5834 0.8287
35 I 0.6825 0.0752 0.3307
36 I 0.3050 0.4166 0.6713
37 I 0.3175 0.9248 0.6693
38 I 0.1825 0.9248 0.1693
39 I 0.1950 0.4166 0.1713
40 I 0.6950 0.5834 0.3287
41 Li 0.2656 0.7634 0.9364
42 Li 0.7344 0.2366 0.0636
43 Li 0.7656 0.2366 0.5636
44 Li 0.2344 0.7634 0.4364
45 V 0.2780 0.2671 0.9501
46 V 0.7780 0.7329 0.5499
47 V 0.2220 0.2671 0.4501
48 V 0.7220 0.7329 0.0499

---

Density functional theory data (GGA+U) for a geometry-optimized TiFeO3 structure.

## Properties
For the energy, the calculation gives -8.096 eV per atom. The formation energy from the elements comes out at -2.718 eV per atom.

Cell lengths 5.1689, 5.1690, 9.8722 Å; angles 74.81, 89.99, 120.00 degrees
Fractional coordinates of all 20 atoms:
1 O 0.6492 0.9511 0.1315
2 O 0.5825 0.4334 0.3685
3 O 0.3508 0.0489 0.8685
4 O 0.6981 0.7808 0.8684
5 O 0.4175 0.5666 0.6315
6 O 0.1979 0.7806 0.3685
7 O 0.3019 0.2192 0.1316
8 O 0.9173 0.5665 0.1316
9 O 0.0827 0.4335 0.8684
10 O 0.8021 0.2193 0.6315
11 O 0.1494 0.9512 0.6316
12 O 0.8506 0.0488 0.3684
13 Ti 0.0731 0.1461 0.7807
14 Ti 0.4268 0.8539 0.7192
15 Ti 0.9269 0.8538 0.2193
16 Ti 0.5733 0.1462 0.2808
17 Fe 0.1779 0.3553 0.4670
18 Fe 0.3224 0.6446 0.0330
19 Fe 0.6776 0.3553 0.9670
20 Fe 0.8220 0.6448 0.5330

---

Density functional theory data (GGA+U) for a geometry-optimized Rb2Cr5F17 structure.

## Properties
For the energy, the calculation gives -5.758 eV per atom. The space-group type is No. 63. The formation energy from the elements comes out at -3.053 eV per atom.

Cell lengths 13.6359, 13.6359, 14.9354 Å; angles 90.00, 90.00, 147.78 degrees
Fractional coordinates of all 96 atoms:
1 F 0.6026 0.3974 0.1070
2 F 0.5616 0.8368 0.7500
3 F 0.1546 0.4377 0.2500
4 F 0.8977 0.6939 0.9992
5 F 0.8468 0.7489 0.3445
6 F 0.8894 0.1106 0.1515
7 F 0.9819 0.0181 0.2500
8 F 0.1106 0.8894 0.8485
9 F 0.9878 0.6023 0.8975
10 F 0.5623 0.8454 0.2500
11 F 0.3974 0.6026 0.8930
12 F 0.0122 0.3977 0.3975
13 F 0.8894 0.1106 0.3485
14 F 0.1532 0.2511 0.8445
15 F 0.2511 0.1532 0.3445
16 F 0.5140 0.8950 0.9025
17 F 0.1376 0.8624 0.1411
18 F 0.3977 0.0122 0.8975
19 F 0.2511 0.1532 0.1555
20 F 0.8454 0.5623 0.7500
21 F 0.4384 0.1632 0.2500
22 F 0.2416 0.3418 0.3454
23 F 0.1050 0.4860 0.9025
24 F 0.3418 0.2416 0.8454
25 F 0.4377 0.1546 0.7500
26 F 0.4860 0.1050 0.0975
27 F 0.3061 0.1023 0.9992
28 F 0.8977 0.6939 0.5008
29 F 0.8368 0.5616 0.2500
30 F 0.6582 0.7584 0.3454
31 F 0.1532 0.2511 0.6555
32 F 0.1106 0.8894 0.6515
33 F 0.6334 0.3666 0.9040
34 F 0.1050 0.4860 0.5975
35 F 0.3666 0.6334 0.0960
36 F 0.7584 0.6582 0.6546
37 F 0.5140 0.8950 0.5975
38 F 0.8624 0.1376 0.8589
39 F 0.3418 0.2416 0.6546
40 F 0.0181 0.9819 0.7500
41 F 0.7489 0.8468 0.8445
42 F 0.7489 0.8468 0.6555
43 F 0.3666 0.6334 0.4040
44 F 0.1023 0.3061 0.0008
45 F 0.6939 0.8977 0.0008
46 F 0.4860 0.1050 0.4025
47 F 0.4813 0.5187 0.7500
48 F 0.8468 0.7489 0.1555
49 F 0.8624 0.1376 0.6411
50 F 0.8950 0.5140 0.0975
51 F 0.6023 0.9878 0.1025
52 F 0.6939 0.8977 0.4992
53 F 0.7584 0.6582 0.8454
54 F 0.1376 0.8624 0.3589
55 F 0.8950 0.5140 0.4025
56 F 0.2416 0.3418 0.1546
57 F 0.3974 0.6026 0.6070
58 F 0.3977 0.0122 0.6025
59 F 0.1023 0.3061 0.4992
60 F 0.0122 0.3977 0.1025
61 F 0.5187 0.4813 0.2500
62 F 0.6334 0.3666 0.5960
63 F 0.6026 0.3974 0.3930
64 F 0.9878 0.6023 0.6025
65 F 0.1632 0.4384 0.7500
66 F 0.6023 0.9878 0.3975
67 F 0.3061 0.1023 0.5008
68 F 0.6582 0.7584 0.1546
69 Rb 0.2497 0.7503 0.0322
70 Rb 0.7475 0.2525 0.2500
71 Rb 0.0000 0.0000 0.0000
72 Rb 0.7503 0.2497 0.5322
73 Rb 0.2525 0.7475 0.7500
74 Rb 0.7503 0.2497 0.9678
75 Rb 0.0000 0.0000 0.5000
76 Rb 0.2497 0.7503 0.4678
77 Cr 0.8690 0.6250 0.1242
78 Cr 0.6270 0.8747 0.1253
79 Cr 0.3750 0.1310 0.3758
80 Cr 0.1310 0.3750 0.8758
81 Cr 0.1310 0.3750 0.6242
82 Cr 0.2506 0.2520 0.2500
83 Cr 0.8690 0.6250 0.3758
84 Cr 0.3730 0.1253 0.6253
85 Cr 0.8747 0.6270 0.8747
86 Cr 0.3730 0.1253 0.8747
87 Cr 0.6270 0.8747 0.3747
88 Cr 0.3750 0.1310 0.1242
89 Cr 0.8747 0.6270 0.6253
90 Cr 0.1253 0.3730 0.3747
91 Cr 0.6250 0.8690 0.8758
92 Cr 0.7480 0.7494 0.2500
93 Cr 0.7494 0.7480 0.7500
94 Cr 0.6250 0.8690 0.6242
95 Cr 0.1253 0.3730 0.1253
96 Cr 0.2520 0.2506 0.7500

---

Density functional theory data (GGA+U) for a geometry-optimized RbW3O9 structure.

## Properties
Its energy above the most stable polymorph in this dataset is 0.017 eV per atom. For the energy, the calculation gives -7.216 eV per atom. The space-group type is No. 143. The formation energy from the elements comes out at -2.224 eV per atom.

Cell lengths 7.4918, 7.4918, 7.6969 Å; angles 90.00, 90.00, 120.00 degrees
Fractional coordinates of all 26 atoms:
1 O 0.4963 0.4953 0.9920
2 O 0.9990 0.5037 0.9920
3 O 0.2116 0.4227 0.2413
4 O 0.4228 0.2117 0.2425
5 O 0.2150 0.7929 0.7425
6 O 0.4221 0.2071 0.7413
7 O 0.7929 0.2150 0.7413
8 O 0.5039 0.9990 0.4918
9 O 0.7850 0.5779 0.7413
10 O 0.7883 0.2111 0.2425
11 O 0.5773 0.7889 0.2413
12 O 0.2071 0.4221 0.7425
13 O 0.2111 0.7884 0.2413
14 O 0.7889 0.5772 0.2425
15 O 0.4950 0.4961 0.4918
16 O 0.5047 0.0010 0.9920
17 O 0.5779 0.7850 0.7425
18 O 0.0010 0.5050 0.4918
19 W 0.4825 0.4825 0.7420
20 W 0.5175 0.0000 0.7420
21 W 0.4906 0.0000 0.2420
22 W 0.5094 0.5094 0.2420
23 W 0.0000 0.4906 0.2420
24 W 0.0000 0.5175 0.7420
25 Rb 0.0000 0.0000 0.9997
26 Rb 0.0000 0.0000 0.4950

---

Density functional theory data (GGA+U) for a geometry-optimized Ba2CrMoO6 structure.

## Properties
For the energy, the calculation gives -7.130 eV per atom. The formation energy from the elements comes out at -2.660 eV per atom.

Cell lengths 5.8101, 8.0057, 5.8100 Å; angles 90.00, 90.00, 90.00 degrees
Fractional coordinates of all 20 atoms:
1 O 0.7501 0.0000 0.7501
2 O 0.5000 0.7562 0.5000
3 O 0.5000 0.2438 0.5000
4 O 0.2501 0.5000 0.7499
5 O 0.2501 0.5000 0.2501
6 O 0.0000 0.2562 0.9999
7 O 0.2499 0.0000 0.2499
8 O 0.2499 0.0000 0.7501
9 O 0.7501 0.0000 0.2498
10 O 0.7499 0.5000 0.2501
11 O 0.7499 0.5000 0.7499
12 O 0.0000 0.7439 0.9999
13 Mo 0.0000 0.4998 0.0002
14 Mo 0.5000 0.0001 0.4999
15 Ba 0.0000 0.7500 0.4999
16 Ba 0.0000 0.2500 0.4999
17 Ba 0.5000 0.7500 0.0000
18 Ba 0.5000 0.2500 0.0000
19 Cr 0.4999 0.5002 0.5004
20 Cr 0.0000 0.9998 0.9999

---

Density functional theory data (GGA+U) for a geometry-optimized Al2FeO4 structure.

## Properties
Its energy above the most stable polymorph in this dataset is 0.162 eV per atom. For the energy, the calculation gives -7.134 eV per atom. The space-group type is No. 160. The formation energy from the elements comes out at -2.742 eV per atom.

Cell lengths 5.8120, 5.8120, 23.3714 Å; angles 60.17, 60.17, 60.00 degrees
Fractional coordinates of all 56 atoms:
1 O 0.7038 0.2689 0.8146
2 O 0.2693 0.7546 0.1804
3 O 0.7274 0.7274 0.8294
4 O 0.2671 0.2671 0.6747
5 O 0.7360 0.2971 0.6827
6 O 0.2662 0.2662 0.5659
7 O 0.2605 0.2605 0.1797
8 O 0.7325 0.3034 0.4329
9 O 0.2689 0.2689 0.8146
10 O 0.7041 0.2662 0.5659
11 O 0.7092 0.2455 0.3249
12 O 0.3034 0.7325 0.4329
13 O 0.7325 0.7325 0.4329
14 O 0.7546 0.7546 0.1804
15 O 0.7360 0.7360 0.5730
16 O 0.2662 0.7041 0.5659
17 O 0.2455 0.7092 0.3249
18 O 0.2598 0.7592 0.9304
19 O 0.7546 0.2693 0.1804
20 O 0.2613 0.2613 0.4290
21 O 0.2505 0.2505 0.0729
22 O 0.7446 0.7446 0.0666
23 O 0.2455 0.2455 0.3249
24 O 0.7072 0.2505 0.0729
25 O 0.2505 0.7072 0.0729
26 O 0.7592 0.2598 0.9304
27 O 0.7360 0.7360 0.6827
28 O 0.2664 0.2664 0.9252
29 O 0.7592 0.7592 0.9304
30 O 0.2971 0.7360 0.6827
31 O 0.7513 0.7513 0.3115
32 O 0.2689 0.7038 0.8146
33 Al 0.4962 0.4962 0.1252
34 Al 0.4991 0.4991 0.8735
35 Al 0.4991 0.0080 0.8735
36 Al 0.5010 0.5010 0.6244
37 Al 0.4960 0.4960 0.3766
38 Al 0.5003 0.5003 0.4998
39 Al 0.4962 0.0067 0.1252
40 Al 0.4960 0.0016 0.3766
41 Al 0.0067 0.4962 0.1252
42 Al 0.5010 0.0004 0.6244
43 Al 0.0004 0.5010 0.6244
44 Al 0.5029 0.5029 0.7478
45 Al 0.8776 0.8776 0.9668
46 Al 0.0016 0.4960 0.3766
47 Al 0.8808 0.8808 0.2144
48 Al 0.0080 0.4991 0.8735
49 Fe 0.8723 0.8723 0.7208
50 Fe 0.1207 0.1207 0.2845
51 Fe 0.4967 0.4967 0.2525
52 Fe 0.1243 0.1243 0.0318
53 Fe 0.8778 0.8778 0.4667
54 Fe 0.1232 0.1232 0.5326
55 Fe 0.4994 0.4994 0.0005
56 Fe 0.1275 0.1275 0.7794

---

Density functional theory data (GGA+U) for a geometry-optimized CrO2 structure.

## Properties
For the energy, the calculation gives -7.248 eV per atom. The space-group type is No. 227. The formation energy from the elements comes out at -1.856 eV per atom.

Cell lengths 5.9206, 5.9206, 5.9206 Å; angles 60.00, 60.00, 60.00 degrees
Fractional coordinates of all 12 atoms:
1 O 0.9305 0.3565 0.3565
2 O 0.3565 0.9305 0.3565
3 O 0.8935 0.8935 0.8935
4 O 0.3565 0.3565 0.9305
5 O 0.8935 0.8935 0.3195
6 O 0.8935 0.3195 0.8935
7 O 0.3195 0.8935 0.8935
8 O 0.3565 0.3565 0.3565
9 Cr 0.6250 0.1250 0.1250
10 Cr 0.1250 0.1250 0.1250
11 Cr 0.1250 0.1250 0.6250
12 Cr 0.1250 0.6250 0.1250